Compound: TbGeO3
Source: Materials Project
Functional: PBE
Structure: optimized geometry

Cell: 3.9158 3.9158 3.9158 Å, 90.00 90.00 90.00°
Closest atoms and distances in Å follow each position.
Positions (direct):
1 Tb 0.0000 0.0000 0.0000  12 O 2.77
2 Ge 0.5000 0.5000 0.5000  6 O 1.96
3 O 0.0000 0.5000 0.5000  2 Ge 1.96
4 O 0.5000 0.0000 0.5000  2 Ge 1.96
5 O 0.5000 0.5000 0.0000  2 Ge 1.96

Output
- Total energy: -6.810 eV per atom
- Calculated formation energy: -2.402 eV per atom

Compound: ThGeO4
Source: Materials Project
Functional: PBE
Structure: optimized geometry

Cell: 6.1305 6.1305 6.1305 Å, 106.85 106.85 114.86°
Closest atoms and distances in Å follow each position.
Positions (direct):
1 Th 0.3750 0.6250 0.7500  8 O 2.37-2.50
2 Th 0.6250 0.3750 0.2500  8 O 2.37-2.50
3 Ge 0.1250 0.8750 0.2500  4 O 1.78
4 Ge 0.8750 0.1250 0.7500  4 O 1.78
5 O 0.1283 0.6963 0.4320  1 Ge 1.78
6 O 0.2357 0.3037 0.9320  1 Ge 1.78
7 O 0.3037 0.2357 0.4320  1 Ge 1.78
8 O 0.3037 0.8717 0.0680  1 Ge 1.78
9 O 0.6963 0.1283 0.9320  1 Ge 1.78
10 O 0.6963 0.7643 0.5680  1 Ge 1.78
11 O 0.7643 0.6963 0.0680  1 Ge 1.78
12 O 0.8717 0.3037 0.5680  1 Ge 1.78

Output
- Total energy: -8.104 eV per atom
- Calculated formation energy: -3.257 eV per atom

Compound: ThGeO2
Source: Materials Project
Functional: PBE
Structure: optimized geometry

Cell: 7.6619 7.6619 7.6619 Å, 126.06 126.06 79.79°
Closest atoms and distances in Å follow each position.
Positions (direct):
1 Th 0.0000 0.0000 0.0000  6 O 2.35-2.40
2 Th 0.0000 0.0000 0.5000  6 O 2.35-2.40
3 Th 0.0000 0.5000 0.0000  6 O 2.35-2.40
4 Th 0.5000 0.0000 0.5000  6 O 2.35-2.40
5 Ge 0.0000 0.5000 0.5000  4 O 2.66
6 Ge 0.5000 0.0000 0.0000  4 O 2.66
7 Ge 0.5000 0.5000 0.0000  4 O 2.66
8 Ge 0.5000 0.5000 0.5000  4 O 2.66
9 O 0.1726 0.1992 0.9733  3 Th 2.35-2.40
10 O 0.1992 0.1726 0.4733  3 Th 2.35-2.40
11 O 0.1992 0.7259 0.0267  3 Th 2.35-2.40
12 O 0.2741 0.8008 0.4733  3 Th 2.35-2.40
13 O 0.7259 0.1992 0.5267  3 Th 2.35-2.40
14 O 0.8008 0.2741 0.9733  3 Th 2.35-2.40
15 O 0.8008 0.8274 0.5267  3 Th 2.35-2.40
16 O 0.8274 0.8008 0.0267  3 Th 2.35-2.40

Output
- Total energy: -7.410 eV per atom
- Calculated formation energy: -2.270 eV per atom